Record 1
## ErNiSn (PBE)

Data for an optimized crystal structure of ErNiSn.

## Properties
Formation enthalpy at 0 K: -64.48 kJ per mole of atoms
E_tot: -5.4541 eV/atom
Space-group type: Pnma, No. 62

```
data_ErNiSn
_cell_length_a 7.0752
_cell_length_b 4.4475
_cell_length_c 7.6927
_cell_angle_alpha 90.00
_cell_angle_beta 90.00
_cell_angle_gamma 90.00
_symmetry_space_group_name_H-M 'P 1'
_symmetry_Int_Tables_number 1
loop_
_symmetry_equiv_pos_as_xyz
'x,y,z'
loop_
_atom_site_label
_atom_site_type_symbol
_atom_site_fract_x
_atom_site_fract_y
_atom_site_fract_z
Er1 Er 0.0082 0.2500 0.2035
Er2 Er 0.4918 0.7500 0.7035
Er3 Er 0.5082 0.2500 0.2965
Er4 Er 0.9918 0.7500 0.7965
Ni1 Ni 0.1994 0.7500 0.4131
Ni2 Ni 0.3006 0.2500 0.9131
Ni3 Ni 0.6994 0.7500 0.0869
Ni4 Ni 0.8006 0.2500 0.5869
Sn1 Sn 0.1943 0.2500 0.5864
Sn2 Sn 0.3057 0.7500 0.0864
Sn3 Sn 0.6943 0.2500 0.9136
Sn4 Sn 0.8057 0.7500 0.4136
```

=====

Record 2
## Er2NiSn6 (PBE)

Data for an optimized crystal structure of Er2NiSn6.

## Properties
Formation enthalpy at 0 K: -41.78 kJ per mole of atoms
E_tot: -4.7634 eV/atom
Space-group type: Cmmm, No. 65

```
data_Er2NiSn6
_cell_length_a 11.4293
_cell_length_b 11.4293
_cell_length_c 4.4227
_cell_angle_alpha 90.00
_cell_angle_beta 90.00
_cell_angle_gamma 157.94
_symmetry_space_group_name_H-M 'P 1'
_symmetry_Int_Tables_number 1
loop_
_symmetry_equiv_pos_as_xyz
'x,y,z'
loop_
_atom_site_label
_atom_site_type_symbol
_atom_site_fract_x
_atom_site_fract_y
_atom_site_fract_z
Er1 Er 0.1786 0.8214 0.0000
Er2 Er 0.8214 0.1786 0.0000
Ni1 Ni 0.5000 0.5000 0.5000
Sn1 Sn 0.0713 0.9287 0.5000
Sn2 Sn 0.2960 0.7040 0.5000
Sn3 Sn 0.4299 0.5701 0.0000
Sn4 Sn 0.5701 0.4299 0.0000
Sn5 Sn 0.7040 0.2960 0.5000
Sn6 Sn 0.9287 0.0713 0.5000
```

=====

Record 3
## Er5Ni2Te2 (PBE)

Data for an optimized crystal structure of Er5Ni2Te2.

## Properties
Formation enthalpy at 0 K: -87.40 kJ per mole of atoms
E_tot: -5.3327 eV/atom
Space-group type: Cmcm, No. 63

```
data_Er5Ni2Te2
_cell_length_a 7.7014
_cell_length_b 7.7014
_cell_length_c 14.8570
_cell_angle_alpha 90.00
_cell_angle_beta 90.00
_cell_angle_gamma 150.19
_symmetry_space_group_name_H-M 'P 1'
_symmetry_Int_Tables_number 1
loop_
_symmetry_equiv_pos_as_xyz
'x,y,z'
loop_
_atom_site_label
_atom_site_type_symbol
_atom_site_fract_x
_atom_site_fract_y
_atom_site_fract_z
Er1 Er 0.0405 0.9595 0.6256
Er2 Er 0.0405 0.9595 0.8744
Er3 Er 0.2600 0.7400 0.1292
Er4 Er 0.2600 0.7400 0.3708
Er5 Er 0.3935 0.6065 0.7500
Er6 Er 0.6065 0.3935 0.2500
Er7 Er 0.7400 0.2600 0.6292
Er8 Er 0.7400 0.2600 0.8708
Er9 Er 0.9595 0.0405 0.1256
Er10 Er 0.9595 0.0405 0.3744
Ni1 Ni 0.1868 0.8132 0.7500
Ni2 Ni 0.4136 0.5864 0.2500
Ni3 Ni 0.5864 0.4136 0.7500
Ni4 Ni 0.8132 0.1868 0.2500
Te1 Te 0.3844 0.6156 0.5398
Te2 Te 0.3844 0.6156 0.9602
Te3 Te 0.6156 0.3844 0.0398
Te4 Te 0.6156 0.3844 0.4602
```

=====

Repeat the second record exactly.
## Er2NiSn6 (PBE)

Data for an optimized crystal structure of Er2NiSn6.

## Properties
Formation enthalpy at 0 K: -41.78 kJ per mole of atoms
E_tot: -4.7634 eV/atom
Space-group type: Cmmm, No. 65

```
data_Er2NiSn6
_cell_length_a 11.4293
_cell_length_b 11.4293
_cell_length_c 4.4227
_cell_angle_alpha 90.00
_cell_angle_beta 90.00
_cell_angle_gamma 157.94
_symmetry_space_group_name_H-M 'P 1'
_symmetry_Int_Tables_number 1
loop_
_symmetry_equiv_pos_as_xyz
'x,y,z'
loop_
_atom_site_label
_atom_site_type_symbol
_atom_site_fract_x
_atom_site_fract_y
_atom_site_fract_z
Er1 Er 0.1786 0.8214 0.0000
Er2 Er 0.8214 0.1786 0.0000
Ni1 Ni 0.5000 0.5000 0.5000
Sn1 Sn 0.0713 0.9287 0.5000
Sn2 Sn 0.2960 0.7040 0.5000
Sn3 Sn 0.4299 0.5701 0.0000
Sn4 Sn 0.5701 0.4299 0.0000
Sn5 Sn 0.7040 0.2960 0.5000
Sn6 Sn 0.9287 0.0713 0.5000
```